a:
Computed, not measured: a geometry-optimized Sr3Cr2S2O5 structure at the PBE with a Hubbard U level of DFT.

a = 11.659 Å, b = 11.659 Å, c = 11.659 Å
α = 160.63°, β = 159.73°, γ = 28.18°
Fractional coordinates of all 12 atoms:
Sr 0.000 0.000 0.000
Sr 0.163 0.163 0.000
Sr 0.837 0.837 0.000
Cr 0.416 0.416 0.000
Cr 0.584 0.584 0.000
S 0.306 0.306 0.000
S 0.694 0.694 0.000
O 0.085 0.585 0.500
O 0.415 0.915 0.500
O 0.500 0.500 0.000
O 0.585 0.085 0.500
O 0.915 0.415 0.500

Computed properties:
- M_tot (μB per formula unit) = 4.0
- crystal system = orthorhombic
- SG = Immm

***

b:
Computed, not measured: a geometry-optimized Sr3Cr2S2O5 structure at the PBE with a Hubbard U level of DFT.

a = 11.732 Å, b = 11.732 Å, c = 11.732 Å
α = 160.27°, β = 160.27°, γ = 28.05°
Fractional coordinates of all 12 atoms:
Sr 0.000 0.000 0.000
Sr 0.161 0.161 0.000
Sr 0.839 0.839 0.000
Cr 0.416 0.416 0.000
Cr 0.584 0.584 0.000
S 0.306 0.306 0.000
S 0.694 0.694 0.000
O 0.085 0.585 0.500
O 0.415 0.915 0.500
O 0.500 0.500 0.000
O 0.585 0.085 0.500
O 0.915 0.415 0.500

Computed properties:
- M_tot (μB per formula unit) = 4.0
- crystal system = tetragonal
- SG = I4/mmm

***

Most favorable first, least favorable last: a, b